1.
Compound: K2LiH2Se2O6
Source: the Materials Project database
Functional: PBE
Structure: optimized geometry

Properties
The calculation puts the relative energy among the computed polymorphs at 0.005 eV/atom. The calculation puts the formation enthalpy at 0 K at -1.519 eV per atom.

Lattice parameters (Å, degrees): 5.460 6.204 7.461 72.45 71.36 85.32
Space group P1 (No. 1)
Unique sites:
K1 0.000 0.000 0.000 x1
K2 0.403 0.658 0.280 x1
Li1 0.995 0.295 0.417 x1
H1 0.456 0.219 0.110 x1
H2 0.923 0.527 0.123 x1
Se1 0.508 0.044 0.526 x1
Se2 0.649 0.456 0.778 x1
O1 0.360 0.194 0.355 x1
O2 0.500 0.188 0.978 x1
O3 0.690 0.617 0.910 x1
O4 0.825 0.030 0.399 x1
O5 0.941 0.349 0.681 x1
O6 0.948 0.570 0.232 x1

---

2.
Compound: ZrCrSi
Source: the Materials Project database
Functional: PBE
Structure: optimized geometry

Properties
The calculation puts the formation enthalpy at 0 K at -0.573 eV per atom.

Lattice parameters (Å, degrees): 6.741 3.520 7.888 90.00 90.00 90.00
Space group Pnma (No. 62)
Unique sites:
Zr1 0.041 0.250 0.171 x4
Cr1 0.122 0.250 0.558 x4
Si1 0.239 0.750 0.367 x4

---

3.
Compound: Y6RuI10
Source: the Materials Project database
Functional: PBE
Structure: optimized geometry

Properties
The calculation puts the formation enthalpy at 0 K at -1.436 eV per atom.

Lattice parameters (Å, degrees): 7.760 9.734 9.765 107.02 96.85 104.61
Space group P-1 (No. 2)
Unique sites:
Y1 0.030 0.220 0.418 x2
Y2 0.113 0.542 0.262 x2
Y3 0.352 0.626 0.668 x2
Ru1 0.000 0.500 0.500 x1
I1 0.086 0.871 0.320 x2
I2 0.217 0.242 0.154 x2
I3 0.257 0.587 0.961 x2
I4 0.350 0.950 0.772 x2
I5 0.455 0.317 0.592 x2

---

4.
Compound: Y5U2O12
Source: the Materials Project database
Functional: PBE
Structure: optimized geometry

Properties
The calculation puts the relative energy among the computed polymorphs at 0.000 eV/atom. The calculation puts the formation enthalpy at 0 K at -3.935 eV per atom.

Lattice parameters (Å, degrees): 6.580 6.618 19.572 96.80 97.09 99.39
Space group P1 (No. 1)
Unique sites:
Y1 0.000 0.000 0.000 x1
Y2 0.002 0.457 0.918 x1
Y3 0.117 0.459 0.738 x1
Y4 0.119 0.984 0.824 x1
Y5 0.186 0.885 0.640 x1
Y6 0.334 0.793 0.251 x1
Y7 0.340 0.332 0.333 x1
Y8 0.456 0.328 0.158 x1
Y9 0.523 0.222 0.972 x1
Y10 0.668 0.127 0.584 x1
Y11 0.673 0.665 0.666 x1
Y12 0.784 0.126 0.405 x1
Y13 0.787 0.651 0.490 x1
Y14 0.854 0.551 0.306 x1
Y15 0.932 0.562 0.099 x1
U1 0.228 0.389 0.537 x1
U2 0.263 0.892 0.433 x1
U3 0.453 0.788 0.071 x1
U4 0.561 0.721 0.869 x1
U5 0.597 0.225 0.766 x1
U6 0.896 0.059 0.203 x1
O1 0.004 0.763 0.726 x1
O2 0.127 0.692 0.013 x1
O3 0.147 0.682 0.510 x1
O4 0.188 0.198 0.929 x1
O5 0.202 0.232 0.432 x1
O6 0.213 0.629 0.345 x1
O7 0.226 0.630 0.851 x1
O8 0.228 0.154 0.221 x1
O9 0.255 0.552 0.641 x1
O10 0.257 0.164 0.732 x1
O11 0.266 0.590 0.143 x1
O12 0.310 0.096 0.561 x1
O13 0.341 0.084 0.062 x1
O14 0.449 0.024 0.347 x1
O15 0.479 0.016 0.844 x1
O16 0.522 0.534 0.262 x1
O17 0.534 0.563 0.764 x1
O18 0.546 0.962 0.678 x1
O19 0.559 0.485 0.555 x1
O20 0.562 0.962 0.185 x1
O21 0.567 0.498 0.063 x1
O22 0.588 0.912 0.474 x1
O23 0.589 0.888 0.975 x1
O24 0.642 0.429 0.893 x1
O25 0.672 0.429 0.393 x1
O26 0.783 0.356 0.680 x1
O27 0.813 0.347 0.177 x1
O28 0.855 0.868 0.594 x1
O29 0.860 0.895 0.098 x1
O30 0.875 0.296 0.010 x1
O31 0.892 0.819 0.889 x1
O32 0.893 0.297 0.518 x1
O33 0.922 0.245 0.808 x1
O34 0.924 0.219 0.308 x1
O35 0.924 0.832 0.399 x1
O36 0.975 0.771 0.229 x1

---

5.
Compound: Tm4Pt
Source: the Materials Project database
Functional: PBE
Structure: optimized geometry

Properties
The calculation puts the formation enthalpy at 0 K at -0.038 eV per atom.

Lattice parameters (Å, degrees): 10.878 10.878 10.878 90.00 90.00 90.00
Space group Fd-3m (No. 227, origin choice 2)
Unique sites:
Tm1 0.015 0.015 0.235 x32
Pt1 0.125 0.125 0.625 x8

---

6.
Compound: Tb3Cu4Sn4
Source: the Materials Project database
Functional: PBE
Structure: optimized geometry

Properties
The calculation puts the formation enthalpy at 0 K at -0.518 eV per atom.

Lattice parameters (Å, degrees): 4.479 6.964 14.755 90.00 90.00 90.00
Space group Immm (No. 71)
Unique sites:
Tb1 0.000 0.000 0.000 x2
Tb2 0.000 0.500 0.132 x4
Cu1 0.000 0.312 0.330 x8
Sn1 0.000 0.000 0.216 x4
Sn2 0.000 0.203 0.500 x4

---

7.
Compound: Nb2MoRu
Source: the Materials Project database
Functional: PBE
Structure: optimized geometry

Properties
The calculation puts the formation enthalpy at 0 K at -0.225 eV per atom.

Lattice parameters (Å, degrees): 6.417 6.417 6.417 90.00 90.00 90.00
Space group Fm-3m (No. 225)
Unique sites:
Nb1 0.250 0.250 0.250 x8
Mo1 0.000 0.000 0.000 x4
Ru1 0.000 0.000 0.500 x4

---

8.
Compound: Rb2TcI6
Source: the Materials Project database
Functional: PBE
Structure: optimized geometry

Properties
The calculation puts the formation enthalpy at 0 K at -0.994 eV per atom.

Lattice parameters (Å, degrees): 11.394 11.394 11.394 90.00 90.00 90.00
Space group Fm-3m (No. 225)
Unique sites:
Rb1 0.250 0.250 0.250 x8
Tc1 0.000 0.000 0.000 x4
I1 0.000 0.000 0.240 x24

---

> What is the formula in the sixth record?

Tb3Cu4Sn4

---

What did the seventh record say?
Compound: Nb2MoRu
Source: the Materials Project database
Functional: PBE
Structure: optimized geometry

Properties
The calculation puts the formation enthalpy at 0 K at -0.225 eV per atom.

Lattice parameters (Å, degrees): 6.417 6.417 6.417 90.00 90.00 90.00
Space group Fm-3m (No. 225)
Unique sites:
Nb1 0.250 0.250 0.250 x8
Mo1 0.000 0.000 0.000 x4
Ru1 0.000 0.000 0.500 x4

---

> Among the records above, which one has the highest formation enthalpy at 0 K?

Tm4Pt